First-principles (GGA-PBE) data for LuMn6Sn4Ge2 after structural relaxation, as listed in Materials Project.

Calculated values
The value obtained for the energy of formation is -0.22 eV/atom. As for the total energy: -6.7423 eV per atom.

Cell: 5.3358 5.3358 8.6373 Å, 90.00 90.00 120.00°
With the nearest neighbours (Å) after each atom.
Space group P6/mmm (No. 191)
One atom of each set of equivalent atoms:
Lu: 0.0000 0.0000 0.0000 [1 per cell]  2 Sn 2.87, 6 Ge 3.08
Mn: 0.0000 0.5000 0.2327 [6 per cell]  2 Ge 2.53, 4 Mn 2.67, 4 Sn 2.78-2.80
Sn: 0.0000 0.0000 0.3327 [2 per cell]  6 Mn 2.80, 1 Lu 2.87, 1 Sn 2.89
Sn: 0.3333 0.6667 0.5000 [2 per cell]  6 Mn 2.78, 3 Sn 3.08
Ge: 0.3333 0.6667 0.0000 [2 per cell]  6 Mn 2.53